# 1
{
  "formula": "CeAl3Pd2",
  "functional": "r2SCAN",
  "state": "relaxed",
  "final_energy_ev_per_cell": -102.1,
  "formation_energy_mev_per_atom": -855,
  "cell": [[-1.618, 4.537, 2.513], [1.392, -4.370, 2.913], [4.000, 1.357, 0.125]],
  "species": ["Pd", "Al", "Al", "Ce", "Pd", "Al"],
  "frac_coords": [[0.333, 0.667, 0.000], [0.500, 0.500, 0.500], [0.500, 0.000, 0.500], [0.000, 0.000, 0.000], [0.667, 0.333, 0.000], [0.000, 0.500, 0.500]]
}

=====

# 2
{
  "formula": "Ta2Cd2O7",
  "functional": "r2SCAN",
  "state": "relaxed",
  "final_energy_ev_per_cell": -413.4,
  "formation_energy_mev_per_atom": -2500,
  "cell": [[-2.844, -6.062, -3.056], [-4.197, -4.523, 4.013], [-7.234, -0.424, -1.293]],
  "species": ["O", "Cd", "Ta", "Ta", "O", "Ta", "O", "O", "Cd", "O", "O", "Ta", "O", "O", "Cd", "O", "Cd", "O", "O", "O", "O", "O"],
  "frac_coords": [[0.693, 0.693, 0.307], [0.125, 0.125, 0.625], [0.625, 0.125, 0.625], [0.625, 0.625, 0.125], [0.943, 0.557, 0.557], [0.125, 0.625, 0.625], [0.693, 0.307, 0.693], [0.250, 0.250, 0.250], [0.625, 0.125, 0.125], [0.307, 0.693, 0.693], [0.557, 0.943, 0.557], [0.625, 0.625, 0.625], [0.693, 0.307, 0.307], [0.943, 0.557, 0.943], [0.125, 0.625, 0.125], [0.943, 0.943, 0.557], [0.125, 0.125, 0.125], [0.307, 0.693, 0.307], [0.000, 0.000, 0.000], [0.557, 0.557, 0.943], [0.557, 0.943, 0.943], [0.307, 0.307, 0.693]]
}

=====

# 3
{
  "formula": "Pm3Y",
  "functional": "r2SCAN",
  "state": "relaxed",
  "relative_energy_ev_per_atom": 0.013,
  "final_energy_ev_per_cell": -108.8,
  "formation_energy_mev_per_atom": 42,
  "cell": [[-2.628, -4.016, 1.873], [2.792, 0.191, 4.326], [-3.441, 3.222, 2.079]],
  "species": ["Pm", "Pm", "Pm", "Y"],
  "frac_coords": [[0.500, 0.000, 0.500], [0.000, 0.500, 0.500], [0.500, 0.500, 0.000], [0.000, 0.000, 0.000]]
}

=====

# 4
{
  "formula": "Dy3Al",
  "functional": "r2SCAN",
  "state": "relaxed",
  "final_energy_ev_per_cell": -207.3,
  "formation_energy_mev_per_atom": -239,
  "cell": [[3.783, 5.293, 2.021], [-6.652, -0.185, 1.456], [1.058, -2.483, 4.521]],
  "species": ["Dy", "Al", "Dy", "Dy", "Al", "Dy", "Dy", "Dy"],
  "frac_coords": [[0.176, 0.824, 0.250], [0.667, 0.333, 0.250], [0.351, 0.176, 0.750], [0.824, 0.176, 0.750], [0.333, 0.667, 0.750], [0.176, 0.351, 0.250], [0.649, 0.824, 0.250], [0.824, 0.649, 0.750]]
}

=====

# 5
{
  "formula": "UCo2",
  "functional": "r2SCAN",
  "state": "relaxed",
  "final_energy_ev_per_cell": -213.5,
  "formation_energy_mev_per_atom": -109,
  "cell": [[4.214, 0.000, 2.433], [1.405, 3.973, 2.433], [0.000, 0.000, 4.866]],
  "species": ["Co", "U", "Co", "Co", "Co", "U"],
  "frac_coords": [[0.500, 0.000, 0.500], [0.125, 0.125, 0.125], [0.500, 0.500, 0.500], [0.500, 0.500, 0.000], [0.000, 0.500, 0.500], [0.875, 0.875, 0.875]]
}

=====

# 6
{
  "formula": "Y4OsBr4",
  "functional": "r2SCAN",
  "state": "relaxed",
  "final_energy_ev_per_cell": -401.3,
  "formation_energy_mev_per_atom": -1488,
  "cell": [[6.600, -0.004, 0.074], [0.102, 8.874, 0.100], [-0.003, 0.005, 8.875]],
  "species": ["Br", "Y", "Y", "Y", "Os", "Os", "Y", "Br", "Br", "Br", "Y", "Br", "Y", "Y", "Br", "Br", "Y", "Br"],
  "frac_coords": [[0.596, 0.193, 0.417], [0.489, 0.250, 0.098], [0.990, 0.749, 0.100], [0.010, 0.251, 0.900], [0.750, 0.006, 0.994], [0.250, 0.994, 0.006], [0.011, 0.902, 0.750], [0.096, 0.417, 0.193], [0.904, 0.583, 0.807], [0.405, 0.422, 0.816], [0.490, 0.100, 0.749], [0.595, 0.578, 0.184], [0.511, 0.750, 0.902], [0.989, 0.098, 0.250], [0.095, 0.184, 0.578], [0.905, 0.816, 0.422], [0.510, 0.900, 0.251], [0.404, 0.807, 0.583]]
}

=====

# 7
{
  "formula": "Li2MoF6",
  "functional": "r2SCAN",
  "state": "relaxed",
  "final_energy_ev_per_cell": -152.0,
  "formation_energy_mev_per_atom": -2932,
  "cell": [[4.646, 0.000, 0.000], [0.000, 4.646, 0.000], [0.000, 0.000, 9.066]],
  "species": ["Li", "F", "Mo", "F", "F", "Li", "Li", "F", "F", "F", "Mo", "F", "F", "F", "F", "F", "Li", "F"],
  "frac_coords": [[0.500, 0.500, 0.834], [0.299, 0.299, 0.662], [0.500, 0.500, 0.500], [0.204, 0.796, 0.500], [0.201, 0.799, 0.162], [0.500, 0.500, 0.166], [0.000, 0.000, 0.334], [0.701, 0.701, 0.662], [0.296, 0.296, 0.000], [0.701, 0.701, 0.338], [0.000, 0.000, 0.000], [0.799, 0.201, 0.838], [0.799, 0.201, 0.162], [0.704, 0.704, 0.000], [0.796, 0.204, 0.500], [0.201, 0.799, 0.838], [0.000, 0.000, 0.666], [0.299, 0.299, 0.338]]
}

=====

# 8
{
  "formula": "CaMnF6",
  "functional": "r2SCAN",
  "state": "relaxed",
  "final_energy_ev_per_cell": -66.6,
  "formation_energy_mev_per_atom": -3263,
  "cell": [[-1.110, 2.761, 4.706], [-4.614, 3.008, 0.817], [-4.044, -1.426, 3.552]],
  "species": ["Mn", "F", "F", "F", "Ca", "F", "F", "F"],
  "frac_coords": [[0.000, 0.000, 0.000], [0.352, 0.083, 0.789], [0.083, 0.789, 0.352], [0.648, 0.917, 0.211], [0.500, 0.500, 0.500], [0.789, 0.352, 0.083], [0.917, 0.211, 0.648], [0.211, 0.648, 0.917]]
}

=====

# 9
{
  "formula": "YAl3",
  "functional": "r2SCAN",
  "state": "relaxed",
  "final_energy_ev_per_cell": -127.1,
  "formation_energy_mev_per_atom": -463,
  "cell": [[5.681, -0.016, 5.420], [2.310, 5.190, 5.420], [-0.025, -0.016, 7.852]],
  "species": ["Y", "Al", "Y", "Al", "Al", "Al", "Al", "Al", "Al", "Al", "Y", "Al"],
  "frac_coords": [[0.217, 0.217, 0.217], [0.500, 0.000, 0.500], [0.000, 0.000, 0.000], [0.701, 0.701, 0.267], [0.733, 0.299, 0.299], [0.299, 0.299, 0.733], [0.500, 0.500, 0.000], [0.000, 0.500, 0.500], [0.299, 0.733, 0.299], [0.701, 0.267, 0.701], [0.783, 0.783, 0.783], [0.267, 0.701, 0.701]]
}

=====

# 10
{
  "formula": "PrAl3Cu",
  "functional": "r2SCAN",
  "state": "relaxed",
  "final_energy_ev_per_cell": -63.0,
  "formation_energy_mev_per_atom": -512,
  "cell": [[3.767, 1.712, 4.479], [1.158, 5.891, 1.066], [-4.775, -3.691, -0.870]],
  "species": ["Al", "Al", "Cu", "Al", "Pr"],
  "frac_coords": [[0.749, 0.249, 0.500], [0.407, 0.407, 0.000], [0.633, 0.633, 0.000], [0.249, 0.749, 0.500], [0.999, 0.999, 0.000]]
}

=====

# 11
{
  "formula": "HoRu3C",
  "functional": "r2SCAN",
  "state": "relaxed",
  "final_energy_ev_per_cell": -120.5,
  "formation_energy_mev_per_atom": -278,
  "cell": [[4.128, 0.000, 0.000], [0.000, 4.128, 0.000], [0.000, 0.000, 4.128]],
  "species": ["C", "Ho", "Ru", "Ru", "Ru"],
  "frac_coords": [[0.000, 0.000, 0.000], [0.500, 0.500, 0.500], [0.000, 0.500, 0.000], [0.000, 0.000, 0.500], [0.500, 0.000, 0.000]]
}

=====

# 12
{
  "formula": "Ho2AlSi2",
  "functional": "r2SCAN",
  "state": "relaxed",
  "final_energy_ev_per_cell": -93.9,
  "formation_energy_mev_per_atom": -771,
  "cell": [[-2.726, 2.876, -0.922], [-4.935, -2.210, -1.279], [-4.097, 0.196, 3.748]],
  "species": ["Si", "Al", "Ho", "Ho", "Si"],
  "frac_coords": [[0.500, 0.711, 0.289], [0.000, 0.000, 0.000], [0.790, 0.710, 0.710], [0.210, 0.290, 0.290], [0.500, 0.289, 0.711]]
}

=====

# 13
{
  "formula": "CsAlTe3",
  "functional": "r2SCAN",
  "state": "relaxed",
  "final_energy_ev_per_cell": -448.5,
  "formation_energy_mev_per_atom": -805,
  "cell": [[-9.466, -5.798, 8.738], [4.527, -5.575, 1.205], [4.507, 2.461, 6.516]],
  "species": ["Cs", "Te", "Te", "Te", "Al", "Al", "Cs", "Te", "Cs", "Cs", "Te", "Te", "Al", "Te", "Te", "Al", "Te", "Te", "Te", "Te"],
  "frac_coords": [[0.080, 0.711, 0.255], [0.572, 0.657, 0.281], [0.179, 0.147, 0.548], [0.679, 0.353, 0.452], [0.273, 0.153, 0.822], [0.227, 0.653, 0.822], [0.920, 0.289, 0.745], [0.072, 0.843, 0.719], [0.580, 0.789, 0.745], [0.420, 0.211, 0.255], [0.428, 0.343, 0.719], [0.829, 0.673, 0.996], [0.727, 0.847, 0.178], [0.928, 0.157, 0.281], [0.821, 0.853, 0.452], [0.773, 0.347, 0.178], [0.321, 0.647, 0.548], [0.171, 0.327, 0.004], [0.671, 0.173, 0.996], [0.329, 0.827, 0.004]]
}

=====

# 14
{
  "formula": "Sc2Mn3Si",
  "functional": "r2SCAN",
  "state": "relaxed",
  "final_energy_ev_per_cell": -153.9,
  "formation_energy_mev_per_atom": -224,
  "cell": [[-4.580, -1.713, 0.144], [2.865, -0.997, -3.838], [2.618, -6.689, 3.692]],
  "species": ["Sc", "Sc", "Sc", "Si", "Mn", "Mn", "Mn", "Sc", "Mn", "Si", "Mn", "Mn"],
  "frac_coords": [[0.667, 0.333, 0.434], [0.333, 0.667, 0.566], [0.333, 0.667, 0.934], [0.000, 0.000, 0.000], [0.176, 0.351, 0.250], [0.176, 0.824, 0.250], [0.649, 0.824, 0.250], [0.667, 0.333, 0.066], [0.824, 0.176, 0.750], [0.000, 0.000, 0.500], [0.351, 0.176, 0.750], [0.824, 0.649, 0.750]]
}

=====

# 15
{
  "formula": "TmMgCd2",
  "functional": "r2SCAN",
  "state": "relaxed",
  "final_energy_ev_per_cell": -80.8,
  "formation_energy_mev_per_atom": -315,
  "cell": [[0.000, 3.546, 3.546], [3.546, 0.000, 3.546], [3.546, 3.546, 0.000]],
  "species": ["Tm", "Cd", "Mg", "Cd"],
  "frac_coords": [[0.750, 0.750, 0.750], [0.000, 0.000, 0.000], [0.250, 0.250, 0.250], [0.500, 0.500, 0.500]]
}

=====

# 16
{
  "formula": "Yb3Hf",
  "functional": "r2SCAN",
  "state": "relaxed",
  "relative_energy_ev_per_atom": 0.000,
  "final_energy_ev_per_cell": -154.2,
  "formation_energy_mev_per_atom": 134,
  "cell": [[2.492, -2.875, 4.446], [5.243, 2.336, 1.135], [-5.297, 2.413, -0.603]],
  "species": ["Yb", "Yb", "Hf", "Yb"],
  "frac_coords": [[0.500, 0.500, 0.000], [0.750, 0.250, 0.500], [0.000, 0.000, 0.000], [0.250, 0.750, 0.500]]
}

=====

# 17
{
  "formula": "CaV2O4",
  "functional": "r2SCAN",
  "state": "relaxed",
  "relative_energy_ev_per_atom": 0.029,
  "final_energy_ev_per_cell": -315.8,
  "formation_energy_mev_per_atom": -2834,
  "cell": [[-0.523, 2.297, 4.457], [-4.294, -3.878, 1.495], [7.657, -6.785, 4.396]],
  "species": ["O", "O", "Ca", "O", "O", "O", "O", "O", "O", "O", "O", "O", "Ca", "O", "O", "V", "V", "V", "O", "V", "Ca", "V", "V", "V", "V", "Ca", "O", "O"],
  "frac_coords": [[0.836, 0.246, 0.148], [0.653, 0.000, 0.351], [0.033, 0.000, 0.000], [0.319, 0.000, 0.838], [0.164, 0.254, 0.352], [0.653, 0.000, 0.649], [0.347, 0.500, 0.149], [0.164, 0.746, 0.352], [0.347, 0.500, 0.851], [0.836, 0.754, 0.148], [0.836, 0.246, 0.852], [0.164, 0.746, 0.648], [0.659, 0.500, 0.000], [0.681, 0.500, 0.662], [0.836, 0.754, 0.852], [0.015, 0.500, 0.239], [0.985, 0.000, 0.739], [0.500, 0.750, 0.750], [0.319, 0.000, 0.162], [0.015, 0.500, 0.761], [0.967, 0.500, 0.500], [0.500, 0.250, 0.750], [0.500, 0.250, 0.250], [0.985, 0.000, 0.261], [0.500, 0.750, 0.250], [0.341, 0.000, 0.500], [0.164, 0.254, 0.648], [0.681, 0.500, 0.338]]
}

=====

# 18
{
  "formula": "CaLu2ZrO6",
  "functional": "r2SCAN",
  "state": "relaxed",
  "final_energy_ev_per_cell": -169.5,
  "formation_energy_mev_per_atom": -2768,
  "cell": [[-1.649, 0.454, 5.568], [-3.814, -3.797, 2.227], [1.765, -3.957, 3.892]],
  "species": ["O", "O", "O", "Ca", "O", "Lu", "O", "Zr", "Lu", "O"],
  "frac_coords": [[0.744, 0.256, 0.744], [0.256, 0.744, 0.256], [0.256, 0.256, 0.744], [0.000, 0.000, 0.000], [0.256, 0.744, 0.744], [0.750, 0.750, 0.750], [0.744, 0.744, 0.256], [0.500, 0.500, 0.500], [0.250, 0.250, 0.250], [0.744, 0.256, 0.256]]
}

=====

# 19
{
  "formula": "GdGeIr",
  "functional": "r2SCAN",
  "state": "relaxed",
  "final_energy_ev_per_cell": -450.1,
  "formation_energy_mev_per_atom": -963,
  "cell": [[-4.033, 1.084, 1.171], [-1.425, -6.705, 1.297], [2.312, 0.890, 7.143]],
  "species": ["Gd", "Gd", "Ge", "Ir", "Ge", "Gd", "Ir", "Ir", "Ge", "Ir", "Ge", "Gd"],
  "frac_coords": [[0.250, 0.499, 0.191], [0.750, 0.501, 0.809], [0.750, 0.703, 0.393], [0.750, 0.341, 0.432], [0.250, 0.797, 0.893], [0.250, 0.999, 0.309], [0.250, 0.659, 0.568], [0.250, 0.159, 0.932], [0.250, 0.297, 0.607], [0.750, 0.841, 0.068], [0.750, 0.203, 0.107], [0.750, 0.001, 0.691]]
}